DFT (GGA-PBE) results for CaSnS3 after structural relaxation.

## Properties
M_tot	0.00	Bohr magnetons per cell
offset from the most stable computed form	134	meV per atom
uncorrected energy	-1096.78	eV/cell
ΔE_f	-1.1868	eV per atom

Lattice parameters (Å, degrees): 32.3904 7.1922 31.6282 90.00 118.71 90.00
Space group C2/c (No. 15)
Asymmetric unit:
Ca  0.0000  0.0604  0.2500 (multiplicity 4)
Ca  0.0337  0.2084  0.5421 (multiplicity 8)
Ca  0.0595  0.3168  0.6839 (multiplicity 8)
Ca  0.1344  0.3673  0.1238 (multiplicity 8)
Ca  0.1621  0.2350  0.2748 (multiplicity 8)
Ca  0.2125  0.2578  0.5754 (multiplicity 8)
Ca  0.2500  0.2500  0.0000 (multiplicity 4)
Sn  0.0048  0.2350  0.3876 (multiplicity 8)
Sn  0.0881  0.3007  0.8270 (multiplicity 8)
Sn  0.1208  0.1568  0.9844 (multiplicity 8)
Sn  0.1332  0.2313  0.4017 (multiplicity 8)
Sn  0.2111  0.2028  0.8607 (multiplicity 8)
Sn  0.2118  0.2282  0.7178 (multiplicity 8)
S  0.0298  0.1467  0.8399 (multiplicity 8)
S  0.0345  0.3633  0.2173 (multiplicity 8)
S  0.0386  0.0285  0.4657 (multiplicity 8)
S  0.0411  0.4806  0.0940 (multiplicity 8)
S  0.0652  0.0049  0.6344 (multiplicity 8)
S  0.0857  0.3842  0.2909 (multiplicity 8)
S  0.0935  0.0945  0.7697 (multiplicity 8)
S  0.1188  0.3903  0.5438 (multiplicity 8)
S  0.1295  0.1785  0.5932 (multiplicity 8)
S  0.1354  0.0671  0.1818 (multiplicity 8)
S  0.1504  0.4449  0.7076 (multiplicity 8)
S  0.1576  0.0639  0.0764 (multiplicity 8)
S  0.1581  0.3871  0.9050 (multiplicity 8)
S  0.1862  0.0746  0.4859 (multiplicity 8)
S  0.1917  0.1475  0.3721 (multiplicity 8)
S  0.2138  0.3522  0.0594 (multiplicity 8)
S  0.2404  0.0308  0.7902 (multiplicity 8)
S  0.2481  0.0939  0.6741 (multiplicity 8)